Entry 1:
DFT (PBE-GGA) results for a relaxed structure of KCuN.

Cell and atoms, written as POSCAR:
```
KCuN
1.0
10.3446 0.0000 0.0000
0.0000 3.5855 0.0000
0.0000 0.0000 6.2557
Cu K N
4 4 4
direct
0.4421 0.7500 0.3891
0.0579 0.2500 0.8891
0.5579 0.2500 0.6109
0.9421 0.7500 0.1109
0.3406 0.7500 0.9261
0.8406 0.7500 0.5739
0.6594 0.2500 0.0739
0.1594 0.2500 0.4261
0.0723 0.7500 0.8361
0.4277 0.2500 0.3361
0.9277 0.2500 0.1639
0.5723 0.7500 0.6639
```

Computed properties:
Energy of formation from the pure elements ... 0.1672 eV/atom
Offset from the most stable computed form ... 0.026 eV/atom
Corrected total energy (MP2020 scheme) ... -4.35 eV per atom
Space-group type ... No. 62

=====

Entry 2:
DFT (PBE-GGA) results for a relaxed structure of K4Nb2Si8O23.

Cell and atoms, written as POSCAR:
```
K4Nb2Si8O23
1.0
-3.0803 2.5235 -6.7607
-8.8144 -1.1024 6.6404
6.8678 30.0127 11.2375
O Si Nb K
115 40 10 20
direct
0.2355 0.1832 0.5466
0.8447 0.0723 0.0179
0.3283 0.6499 0.2785
0.4782 0.7262 0.3993
0.7101 0.7584 0.2030
0.2907 0.7606 0.6938
0.8850 0.7517 0.9996
0.1735 0.8308 0.0543
0.7616 0.1501 0.5599
0.1005 0.6256 0.4768
0.5107 0.6265 0.0747
0.7928 0.6779 0.3884
0.2808 0.3797 0.2118
0.8265 0.1692 0.9457
0.1185 0.9410 0.1212
0.4027 0.1804 0.3404
0.8835 0.3722 0.6114
0.7496 0.5248 0.0302
0.0626 0.0144 0.4108
0.4010 0.6780 0.7856
0.1273 0.2650 0.9099
0.5804 0.5437 0.2410
0.9972 0.8039 0.2599
0.2899 0.2416 0.7970
0.5923 0.9456 0.5933
0.9233 0.1144 0.3475
0.0074 0.6932 0.1878
0.4019 0.1018 0.2639
0.4616 0.7369 0.4900
0.1815 0.5444 0.6361
0.9319 0.6400 0.6777
0.6055 0.7034 0.5880
0.0832 0.7127 0.7995
0.2384 0.8499 0.4401
0.9965 0.1037 0.6650
0.6616 0.4932 0.5610
0.8104 0.2849 0.8778
0.6902 0.7664 0.2942
0.1150 0.2483 0.0004
0.3098 0.2336 0.7058
0.4893 0.3735 0.9253
0.6717 0.3501 0.7215
0.9926 0.3068 0.8122
0.2281 0.2998 0.4792
0.1553 0.9277 0.9821
0.3364 0.9052 0.7833
0.4196 0.4563 0.7590
0.2072 0.3221 0.6116
0.1165 0.6278 0.3886
0.5568 0.6573 0.7175
0.3020 0.3567 0.1234
0.5990 0.3220 0.2144
0.4077 0.0544 0.4067
0.0767 0.8856 0.6525
0.6304 0.2017 0.1459
0.0028 0.1961 0.7401
0.5384 0.2631 0.5100
0.3082 0.7688 0.6033
0.9389 0.2475 0.1110
0.0735 0.4935 0.1541
0.2735 0.0666 0.4795
0.0555 0.3219 0.4086
0.7645 0.8168 0.4534
0.0681 0.3600 0.3223
0.0035 0.8963 0.3350
0.6520 0.3281 0.8083
0.8995 0.3744 0.5232
0.5281 0.6721 0.9879
0.9168 0.2873 0.2005
0.0044 0.0638 0.8044
0.4719 0.3279 0.0121
0.4881 0.8875 0.2498
0.1896 0.7151 0.1222
0.1526 0.1490 0.1678
0.6918 0.2312 0.3967
0.0611 0.7525 0.8890
0.5119 0.1125 0.7502
0.6281 0.0929 0.0751
0.6601 0.8693 0.0504
0.3384 0.5068 0.4390
0.9401 0.6502 0.3187
0.9265 0.5065 0.8459
0.3399 0.1307 0.9496
0.5973 0.8196 0.6596
0.3288 0.6601 0.9181
0.7719 0.7002 0.5208
0.3719 0.9071 0.9249
0.0599 0.3498 0.6813
0.6636 0.0948 0.2167
0.6980 0.6433 0.8766
0.3945 0.2966 0.4120
0.7388 0.9092 0.3804
0.9956 0.9362 0.1956
0.8727 0.7350 0.0901
0.7093 0.2394 0.3062
0.5218 0.2738 0.6007
0.6712 0.3399 0.0819
0.8815 0.0590 0.8788
0.4432 0.3427 0.2825
0.3402 0.9830 0.1878
0.3480 0.6719 0.1917
0.5981 0.8982 0.7361
0.2612 0.0908 0.6196
0.2504 0.4752 0.9698
0.8127 0.3088 0.0127
0.8474 0.8510 0.8322
0.9374 0.9856 0.5892
0.5000 0.0000 0.0000
0.9445 0.6781 0.5914
0.7265 0.9334 0.5205
0.1873 0.6912 0.9873
0.6598 0.0170 0.8122
0.3696 0.7983 0.8541
0.8185 0.4556 0.3639
0.7192 0.6203 0.7882
0.3280 0.6228 0.9665
0.8486 0.9944 0.8316
0.0796 0.8019 0.0968
0.0686 0.0127 0.6322
0.1514 0.0056 0.1684
0.6589 0.0043 0.0357
0.7538 0.0074 0.5662
0.2462 0.9926 0.4338
0.1012 0.2212 0.6981
0.2908 0.7711 0.8054
0.7092 0.2289 0.1946
0.7502 0.6413 0.5662
0.9192 0.6015 0.3655
0.4989 0.2172 0.2986
0.3283 0.2061 0.5038
0.2498 0.3587 0.4338
0.4817 0.1933 0.3894
0.4746 0.0143 0.2303
0.3132 0.2200 0.5951
0.9204 0.1981 0.9032
0.6868 0.7800 0.4049
0.8423 0.3593 0.8351
0.6717 0.7939 0.4962
0.8988 0.7788 0.3019
0.1577 0.6407 0.1649
0.3411 0.9957 0.9643
0.5254 0.9857 0.7697
0.5267 0.6010 0.7632
0.9314 0.9873 0.3678
0.0808 0.3985 0.6345
0.7272 0.2217 0.1035
0.5011 0.7828 0.7014
0.6720 0.3772 0.0335
0.2728 0.7783 0.8965
0.4733 0.3990 0.2368
0.0945 0.7980 0.0056
0.0801 0.2042 0.7888
0.5183 0.8067 0.6106
0.9055 0.2020 0.9944
0.9199 0.7958 0.2112
0.3218 0.3114 0.9583
0.4998 0.2941 0.7541
0.6782 0.6886 0.0417
0.9002 0.2947 0.3548
0.2663 0.6732 0.4421
0.1330 0.3236 0.1581
0.8670 0.6764 0.8419
0.0998 0.7053 0.6452
0.7337 0.3268 0.5579
0.5002 0.7059 0.2459
0.3983 0.5134 0.3457
0.8266 0.5240 0.9427
0.9981 0.5067 0.7449
0.5661 0.8554 0.1345
0.3813 0.8657 0.3348
0.1570 0.8531 0.5337
0.0019 0.4933 0.2551
0.6017 0.4866 0.6543
0.1734 0.4760 0.0573
0.0244 0.1443 0.2631
0.7556 0.4726 0.4556
0.9756 0.8557 0.7369
0.2444 0.5274 0.5444
0.2441 0.1414 0.0662
0.6187 0.1343 0.6652
0.4339 0.1446 0.8655
0.3605 0.4730 0.8549
0.6395 0.5270 0.1451
0.7559 0.8586 0.9338
0.8430 0.1469 0.4663
```

Computed properties:
Energy of formation from the pure elements ... -3.0919 eV/atom
Corrected total energy (MP2020 scheme) ... -8.01 eV per atom
Space-group type ... No. 2

=====

Entry 3:
DFT (PBE-GGA) results for a relaxed structure of Gd2MgGe2.

Cell and atoms, written as POSCAR:
```
Gd2MgGe2
1.0
7.3055 0.0000 0.0000
0.0000 7.3055 0.0000
0.0000 0.0000 4.3068
Mg Gd Ge
2 4 4
direct
0.0000 0.0000 0.5000
0.5000 0.5000 0.5000
0.3224 0.1776 0.0000
0.1776 0.6776 0.0000
0.8224 0.3224 0.0000
0.6776 0.8224 0.0000
0.6233 0.1233 0.5000
0.8767 0.6233 0.5000
0.1233 0.3767 0.5000
0.3767 0.8767 0.5000
```

Computed properties:
Energy of formation from the pure elements ... -0.7693 eV/atom
Space-group type ... No. 127

=====

Entry 4:
DFT (PBE-GGA) results for a relaxed structure of NbCrP.

Cell and atoms, written as POSCAR:
```
NbCrP
1.0
3.5432 0.0000 0.0000
0.0000 6.2872 0.0000
0.0000 0.0000 7.4068
P Nb Cr
4 4 4
direct
0.2500 0.2700 0.1315
0.2500 0.7700 0.3685
0.7500 0.7300 0.8685
0.7500 0.2300 0.6315
0.7500 0.9688 0.1724
0.2500 0.0312 0.8276
0.2500 0.5312 0.6724
0.7500 0.4688 0.3276
0.7500 0.8574 0.5596
0.2500 0.6426 0.0596
0.7500 0.3574 0.9404
0.2500 0.1426 0.4404
```

Computed properties:
Energy of formation from the pure elements ... -0.7147 eV/atom
Space-group type ... No. 62

=====

Entry 5:
DFT (PBE-GGA) results for a relaxed structure of DyIn2Ni9.

Cell and atoms, written as POSCAR:
```
DyIn2Ni9
1.0
-4.7944 -2.1684 6.3335
-2.8890 -6.3573 -4.3635
3.5297 -2.7838 1.7189
Ni In Dy
18 4 2
direct
0.5644 0.2946 0.5000
0.1766 0.6766 0.2479
0.9356 0.7946 0.5000
0.3234 0.1766 0.2479
0.0644 0.2054 0.5000
0.5000 0.0000 0.5000
0.3234 0.1766 0.7521
0.4356 0.7054 0.5000
0.6766 0.8234 0.2479
0.7946 0.0644 0.5000
0.8234 0.3234 0.2479
0.7054 0.5644 0.5000
0.1766 0.6766 0.7521
0.2054 0.9356 0.5000
0.8234 0.3234 0.7521
0.6766 0.8234 0.7521
0.0000 0.5000 0.5000
0.2946 0.4356 0.5000
0.6259 0.1259 0.0000
0.3741 0.8741 0.0000
0.8741 0.6259 0.0000
0.1259 0.3741 0.0000
0.0000 0.0000 0.0000
0.5000 0.5000 0.0000
```

Computed properties:
Energy of formation from the pure elements ... -0.2177 eV/atom
Space-group type ... No. 127

=====

Entry 6:
DFT (PBE-GGA) results for a relaxed structure of MgClO.

Cell and atoms, written as POSCAR:
```
MgClO
1.0
4.8637 -1.7262 0.0000
4.8637 1.7262 0.0000
4.2511 0.0000 2.9264
O Cl Mg
1 1 1
direct
0.3769 0.3769 0.3769
0.5517 0.5517 0.5517
0.0076 0.0076 0.0076
```

Computed properties:
Energy of formation from the pure elements ... -1.6745 eV/atom
Corrected total energy (MP2020 scheme) ... -4.47 eV per atom
Space-group type ... No. 160

=====

Entry 7:
DFT (PBE-GGA) results for a relaxed structure of KSrCeNbO6.

Cell and atoms, written as POSCAR:
```
KSrCeNbO6
1.0
3.1296 2.3872 -4.5481
-1.5140 -1.2635 -5.6824
-2.4885 4.2415 -3.4635
Ce K O Nb Sr
1 1 6 1 1
direct
0.0000 0.0000 0.0000
0.2500 0.2500 0.2500
0.7372 0.2628 0.2628
0.7372 0.7372 0.2628
0.2628 0.7372 0.2628
0.2628 0.7372 0.7372
0.7372 0.2628 0.7372
0.2628 0.2628 0.7372
0.5000 0.5000 0.5000
0.7500 0.7500 0.7500
```

Computed properties:
Energy of formation from the pure elements ... -3.2023 eV/atom
Offset from the most stable computed form ... 0.017 eV/atom
Corrected total energy (MP2020 scheme) ... -8.05 eV per atom
Space-group type ... No. 216

=====

Entry 8:
DFT (PBE-GGA) results for a relaxed structure of NdYCo14B.

Cell and atoms, written as POSCAR:
```
NdYCo14B
1.0
-2.8707 -6.6955 -4.5956
6.6346 0.8773 -5.4224
6.3731 -7.2767 6.6206
Co B Nd Y
56 4 4 4
direct
0.0375 0.3597 0.1780
0.7241 0.9319 0.3739
0.9009 0.9009 0.2044
0.5000 0.5000 0.8844
0.3597 0.0375 0.1780
0.0681 0.2759 0.3739
0.2241 0.5681 0.8739
0.8178 0.1822 0.2547
0.4319 0.7759 0.1261
0.4319 0.7759 0.8739
0.1822 0.8178 0.2547
0.0000 0.5000 0.0000
0.6403 0.9625 0.1780
0.3597 0.0375 0.8220
0.2759 0.0681 0.6261
0.5681 0.2241 0.8739
0.1822 0.8178 0.7453
0.5000 0.0000 0.0000
0.3178 0.3178 0.7547
0.2759 0.0681 0.3739
0.9625 0.6403 0.1780
0.5375 0.1403 0.3220
0.6822 0.6822 0.7547
0.0991 0.0991 0.7956
0.4625 0.8597 0.3220
0.0000 0.0000 0.3844
0.9319 0.7241 0.3739
0.0991 0.0991 0.2044
0.5000 0.5000 0.1156
0.0000 0.0000 0.6156
0.4625 0.8597 0.6780
0.1403 0.5375 0.3220
0.5000 0.0000 0.5000
0.9319 0.7241 0.6261
0.8597 0.4625 0.6780
0.6822 0.6822 0.2453
0.7759 0.4319 0.8739
0.0375 0.3597 0.8220
0.3178 0.3178 0.2453
0.5991 0.4009 0.7044
0.7241 0.9319 0.6261
0.4009 0.5991 0.7044
0.0681 0.2759 0.6261
0.0000 0.5000 0.5000
0.9009 0.9009 0.7956
0.8597 0.4625 0.3220
0.5375 0.1403 0.6780
0.7759 0.4319 0.1261
0.9625 0.6403 0.8220
0.8178 0.1822 0.7453
0.5991 0.4009 0.2956
0.5681 0.2241 0.1261
0.2241 0.5681 0.1261
0.4009 0.5991 0.2956
0.6403 0.9625 0.8220
0.1403 0.5375 0.6780
0.3773 0.6227 0.0000
0.6227 0.3773 0.0000
0.8773 0.8773 0.5000
0.1227 0.1227 0.5000
0.1434 0.8566 0.0000
0.8566 0.1434 0.0000
0.6434 0.6434 0.5000
0.3566 0.3566 0.5000
0.7240 0.7240 0.0000
0.2760 0.2760 0.0000
0.7760 0.2240 0.5000
0.2240 0.7760 0.5000
```

Computed properties:
Energy of formation from the pure elements ... -0.1465 eV/atom
Space-group type ... No. 136